# 1
# PBE-GGA Pr5Si3N9, relaxed
# * corrected total energy (MP2020 scheme): -1120.856 eV per cell
# * DFT formation energy: -1.46 eV/atom
# * magnetic moment: 0.0 μB/f.u.
# * total DFT energy (no corrections): -8.05 eV/atom
data_Pr5Si3N9
_chemical_formula_sum 'Pr40 Si24 N72'
_symmetry_space_group_name_H-M 'C m c e'
_symmetry_Int_Tables_number 64
_symmetry_space_group_name_Hall '-C 2ac 2'
_cell_length_a 10.645
_cell_length_b 11.372
_cell_length_c 16.012
_cell_angle_alpha 90.00
_cell_angle_beta 90.00
_cell_angle_gamma 90.00
loop_
_atom_site_label
_atom_site_type_symbol
_atom_site_fract_x
_atom_site_fract_y
_atom_site_fract_z
Pr1 Pr 0.000 0.006 0.112
Pr2 Pr 0.000 0.012 0.665
Pr3 Pr 0.207 0.000 0.500
Pr4 Pr 0.211 0.242 0.869
Si1 Si 0.000 0.227 0.226
Si2 Si 0.000 0.240 0.017
Si3 Si 0.250 0.037 0.250
N1 N 0.000 0.135 0.452
N2 N 0.000 0.158 0.795
N3 N 0.000 0.224 0.623
N4 N 0.125 0.134 0.242
N5 N 0.132 0.147 0.001
N6 N 0.237 0.034 0.654

---

# 2
# PBE-GGA Pr3Ta2N6, relaxed
# * corrected total energy (MP2020 scheme): -209.769 eV per cell
# * DFT formation energy: -1.53 eV/atom
# * total DFT energy (no corrections): -9.34 eV/atom
data_Pr3Ta2N6
_chemical_formula_sum 'Pr6 Ta4 N12'
_symmetry_space_group_name_H-M 'I 4/m m m'
_symmetry_Int_Tables_number 139
_symmetry_space_group_name_Hall '-I 4 2'
_cell_length_a 4.066
_cell_length_b 4.066
_cell_length_c 20.060
_cell_angle_alpha 90.00
_cell_angle_beta 90.00
_cell_angle_gamma 90.00
loop_
_atom_site_label
_atom_site_type_symbol
_atom_site_fract_x
_atom_site_fract_y
_atom_site_fract_z
Pr1 Pr 0.000 0.000 0.000
Pr2 Pr 0.000 0.000 0.181
Ta1 Ta 0.000 0.000 0.400
N1 N 0.000 0.000 0.302
N2 N 0.000 0.500 0.085

---

Q: Among the records above, which one has the highest corrected total energy (MP2020 scheme)?
A: Pr3Ta2N6